Record 1
Below is a geometry-optimized CsAsH2O4 structure, with properties calculated at the PBE level.

## Properties
Space group = Fdd2
Energy of formation from the pure elements = -1.719 eV per atom
Piezoelectric modulus e_max = 0.23 C/m2
Total magnetization = 0.000 μB/atom
Total energy after the MP2020 corrections = -0.2108 Ha/atom

Lattice parameters (Å, degrees): 7.090 6.905 8.123 55.59 53.47 70.94
Positions (direct):
Cs  0.000  0.000  0.000
Cs  0.250  0.250  0.250
As  0.515  0.515  0.485
As  0.765  0.765  0.735
H  0.157  0.605  0.759
H  0.491  0.771  0.093
H  0.605  0.157  0.479
H  0.771  0.491  0.645
O  0.286  0.474  0.768
O  0.474  0.286  0.472
O  0.482  0.776  0.278
O  0.482  0.778  0.964
O  0.776  0.482  0.464
O  0.778  0.482  0.776
O  0.786  0.972  0.474
O  0.972  0.786  0.768



Record 2
Below is a geometry-optimized PrIn5Co structure, with properties calculated at the PBE level.

## Properties
Space group = P4/mmm
Energy of formation from the pure elements = -0.264 eV per atom

Lattice parameters (Å, degrees): 4.651 4.651 7.602 90.00 90.00 90.00
Positions (direct):
Pr  0.000  0.000  0.000
In  0.000  0.500  0.309
In  0.000  0.500  0.691
In  0.500  0.000  0.309
In  0.500  0.000  0.691
In  0.500  0.500  0.000
Co  0.000  0.000  0.500



Record 3
Below is a geometry-optimized Hg structure, with properties calculated at the PBE level.

## Properties
Space group = Ama2
Energy of formation from the pure elements = 0.041 eV per atom
Total magnetization = 0.000 μB/atom

Lattice parameters (Å, degrees): 10.519 13.267 13.267 119.95 90.00 90.00
Positions (direct):
Hg  0.000  0.126  0.126
Hg  0.000  0.127  0.876
Hg  0.000  0.627  0.627
Hg  0.000  0.627  0.877
Hg  0.000  0.876  0.127
Hg  0.000  0.877  0.627
Hg  0.002  0.378  0.127
Hg  0.002  0.626  0.127
Hg  0.003  0.625  0.375
Hg  0.250  0.043  0.210
Hg  0.250  0.043  0.710
Hg  0.250  0.377  0.376
Hg  0.250  0.543  0.709
Hg  0.250  0.875  0.376
Hg  0.497  0.625  0.375
Hg  0.498  0.378  0.127
Hg  0.498  0.626  0.127
Hg  0.500  0.126  0.126
Hg  0.500  0.127  0.876
Hg  0.500  0.627  0.627
Hg  0.500  0.627  0.877
Hg  0.500  0.876  0.127
Hg  0.500  0.877  0.627
Hg  0.502  0.127  0.378
Hg  0.502  0.127  0.626
Hg  0.503  0.375  0.625
Hg  0.750  0.210  0.043
Hg  0.750  0.376  0.377
Hg  0.750  0.376  0.875
Hg  0.750  0.709  0.543
Hg  0.750  0.710  0.043
Hg  0.997  0.375  0.625
Hg  0.998  0.127  0.378
Hg  0.998  0.127  0.626



Record 4
Below is a geometry-optimized Na6Ca2Si3Ge2S3O24 structure, with properties calculated at the PBE level.

## Properties
Space group = P1
Energy of formation from the pure elements = -2.368 eV per atom
Total magnetization = 0.002 μB/atom
Total energy after the MP2020 corrections = -0.2420 Ha/atom

Lattice parameters (Å, degrees): 9.161 9.233 22.406 90.78 91.16 119.61
Positions (direct):
Na  0.000  0.000  0.000
Na  0.000  0.254  0.500
Na  0.042  0.313  0.836
Na  0.049  0.989  0.335
Na  0.324  0.288  0.924
Na  0.325  0.936  0.178
Na  0.329  0.650  0.678
Na  0.330  0.282  0.421
Na  0.661  0.275  0.013
Na  0.662  0.641  0.509
Na  0.663  0.321  0.337
Na  0.676  0.983  0.589
Na  0.677  0.953  0.092
Na  0.678  0.605  0.830
Na  0.977  0.307  0.164
Na  0.982  0.629  0.252
Na  0.983  0.614  0.750
Na  0.986  0.927  0.661
Ca  0.340  0.289  0.774
Ca  0.346  0.317  0.277
Ca  0.675  0.966  0.939
Ca  0.675  0.967  0.439
Ca  0.995  0.629  0.107
Ca  0.996  0.622  0.606
Si  0.017  0.001  0.179
Si  0.026  0.341  0.009
Si  0.030  0.936  0.508
Si  0.038  0.291  0.677
Si  0.383  0.960  0.335
Si  0.622  0.294  0.173
Si  0.623  0.587  0.674
Si  0.974  0.288  0.347
Si  0.981  0.949  0.845
Ge  0.024  0.627  0.904
Ge  0.054  0.671  0.396
Ge  0.300  0.286  0.087
Ge  0.313  0.271  0.583
Ge  0.689  0.031  0.237
Ge  0.720  0.950  0.730
S  0.298  0.622  0.504
S  0.299  0.935  0.007
S  0.353  0.007  0.669
S  0.354  0.602  0.170
S  0.363  0.667  0.838
S  0.686  0.269  0.841
S  0.693  0.678  0.341
S  0.696  0.334  0.503
S  0.698  0.619  0.002
O  0.021  0.829  0.171
O  0.030  0.458  0.669
O  0.050  0.457  0.945
O  0.050  0.833  0.445
O  0.108  0.130  0.120
O  0.126  0.247  0.618
O  0.132  0.308  0.739
O  0.135  0.086  0.240
O  0.154  0.304  0.338
O  0.156  0.119  0.841
O  0.184  0.642  0.841
O  0.187  0.606  0.450
O  0.188  0.843  0.952
O  0.193  0.785  0.337
O  0.199  0.312  0.019
O  0.202  0.137  0.516
O  0.207  0.627  0.163
O  0.207  0.839  0.662
O  0.225  0.642  0.559
O  0.226  0.845  0.061
O  0.300  0.461  0.503
O  0.304  0.100  0.008
O  0.327  0.080  0.723
O  0.327  0.504  0.222
O  0.349  0.113  0.333
O  0.351  0.501  0.839
O  0.365  0.504  0.115
O  0.368  0.114  0.615
O  0.429  0.753  0.782
O  0.462  0.761  0.890
O  0.471  0.762  0.501
O  0.473  0.966  0.002
O  0.478  0.263  0.114
O  0.481  0.473  0.615
O  0.483  0.939  0.273
O  0.489  0.991  0.393
O  0.507  0.996  0.670
O  0.509  0.763  0.169
O  0.531  0.332  0.508
O  0.539  0.460  0.006
O  0.549  0.307  0.837
O  0.552  0.504  0.736
O  0.554  0.506  0.336
O  0.555  0.313  0.236
O  0.622  0.107  0.172
O  0.626  0.774  0.672
O  0.669  0.763  0.998
O  0.671  0.183  0.897
O  0.675  0.164  0.501
O  0.676  0.745  0.399
O  0.698  0.179  0.789
O  0.705  0.783  0.291
O  0.774  0.430  0.449
O  0.781  0.598  0.946
O  0.803  0.416  0.556
O  0.809  0.655  0.054
O  0.814  0.432  0.166
O  0.817  0.641  0.667
O  0.836  0.002  0.186
O  0.839  0.202  0.284
O  0.854  0.437  0.843
O  0.857  0.107  0.676
O  0.858  0.673  0.342
O  0.859  0.909  0.781
O  0.864  0.155  0.003
O  0.868  0.963  0.501
O  0.886  0.969  0.900
O  0.895  0.172  0.402
O  0.973  0.471  0.354
O  0.981  0.763  0.848
O  0.994  0.420  0.067
O  0.999  0.832  0.566



Record 5
Below is a geometry-optimized Na10Ta4Al4Si9S3O48 structure, with properties calculated at the PBE level.

## Properties
Space group = P1
Energy of formation from the pure elements = -2.858 eV per atom
Total magnetization = 0.000 μB/atom
Total energy after the MP2020 corrections = -0.2814 Ha/atom

Lattice parameters (Å, degrees): 8.838 15.384 22.142 90.81 90.05 90.12
Positions (direct):
Na  0.000  0.000  0.000
Na  0.000  0.371  0.994
Na  0.002  0.337  0.335
Na  0.004  0.037  0.661
Na  0.042  0.677  0.006
Na  0.169  0.858  0.412
Na  0.179  0.518  0.583
Na  0.184  0.863  0.912
Na  0.197  0.199  0.746
Na  0.201  0.192  0.248
Na  0.206  0.524  0.083
Na  0.323  0.679  0.502
Na  0.363  0.369  0.500
Na  0.368  0.034  0.161
Na  0.373  0.000  0.499
Na  0.373  0.701  0.828
Na  0.502  0.837  0.334
Na  0.505  0.537  0.662
Na  0.511  0.868  0.999
Na  0.669  0.358  0.411
Na  0.675  0.367  0.914
Na  0.679  0.018  0.583
Na  0.686  0.027  0.080
Na  0.694  0.697  0.748
Na  0.699  0.692  0.247
Na  0.823  0.179  0.502
Na  0.862  0.869  0.500
Na  0.867  0.202  0.828
Na  0.868  0.537  0.160
Na  0.872  0.500  0.499
Ta  0.173  0.512  0.232
Ta  0.176  0.179  0.897
Ta  0.181  0.845  0.566
Ta  0.194  0.843  0.064
Ta  0.195  0.183  0.399
Ta  0.199  0.510  0.732
Ta  0.673  0.012  0.232
Ta  0.681  0.345  0.566
Ta  0.682  0.682  0.900
Ta  0.692  0.344  0.067
Ta  0.695  0.010  0.732
Ta  0.695  0.683  0.399
Al  0.180  0.850  0.275
Al  0.181  0.193  0.605
Al  0.182  0.508  0.443
Al  0.187  0.184  0.109
Al  0.188  0.515  0.940
Al  0.188  0.850  0.775
Al  0.679  0.349  0.275
Al  0.681  0.693  0.606
Al  0.682  0.008  0.443
Al  0.686  0.351  0.776
Al  0.688  0.010  0.945
Al  0.690  0.692  0.106
Si  0.033  0.375  0.842
Si  0.035  0.709  0.174
Si  0.038  0.043  0.508
Si  0.045  0.328  0.504
Si  0.337  0.707  0.676
Si  0.340  0.044  0.009
Si  0.342  0.375  0.340
Si  0.391  0.012  0.340
Si  0.401  0.339  0.674
Si  0.404  0.671  0.007
Si  0.470  0.176  0.508
Si  0.473  0.838  0.175
Si  0.478  0.508  0.841
Si  0.533  0.874  0.842
Si  0.534  0.208  0.175
Si  0.538  0.543  0.508
Si  0.545  0.828  0.504
Si  0.827  0.829  0.006
Si  0.830  0.540  0.007
Si  0.837  0.208  0.676
Si  0.842  0.875  0.340
Si  0.891  0.512  0.340
Si  0.899  0.178  0.007
Si  0.901  0.839  0.674
Si  0.969  0.676  0.507
Si  0.974  0.006  0.841
Si  0.974  0.339  0.175
S  0.040  0.659  0.839
S  0.041  0.994  0.173
S  0.327  0.659  0.340
S  0.329  0.327  0.006
S  0.331  0.993  0.673
S  0.542  0.492  0.174
S  0.543  0.159  0.840
S  0.827  0.160  0.340
S  0.832  0.493  0.674
O  0.000  0.202  0.944
O  0.000  0.503  0.676
O  0.000  0.866  0.613
O  0.003  0.501  0.397
O  0.014  0.525  0.998
O  0.014  0.839  0.010
O  0.015  0.838  0.730
O  0.017  0.168  0.061
O  0.017  0.191  0.666
O  0.020  0.861  0.330
O  0.059  0.268  0.442
O  0.067  0.101  0.568
O  0.067  0.943  0.115
O  0.074  0.429  0.903
O  0.076  0.766  0.512
O  0.078  0.099  0.844
O  0.078  0.432  0.176
O  0.078  0.607  0.784
O  0.080  0.770  0.230
O  0.084  0.258  0.162
O  0.085  0.597  0.495
O  0.086  0.926  0.829
O  0.097  0.618  0.894
O  0.107  0.425  0.783
O  0.107  0.753  0.111
O  0.109  0.951  0.225
O  0.112  0.081  0.169
O  0.112  0.746  0.836
O  0.114  0.426  0.499
O  0.120  0.277  0.843
O  0.120  0.610  0.178
O  0.120  0.945  0.512
O  0.123  0.088  0.449
O  0.125  0.283  0.560
O  0.247  0.279  0.342
O  0.253  0.608  0.677
O  0.255  0.092  0.950
O  0.255  0.946  0.011
O  0.258  0.078  0.671
O  0.258  0.414  0.002
O  0.258  0.425  0.283
O  0.263  0.748  0.337
O  0.263  0.755  0.615
O  0.267  0.284  0.059
O  0.272  0.947  0.726
O  0.273  0.618  0.395
O  0.279  0.595  0.996
O  0.285  0.100  0.342
O  0.290  0.925  0.331
O  0.291  0.607  0.285
O  0.293  0.430  0.677
O  0.295  0.256  0.663
O  0.296  0.763  0.735
O  0.297  0.098  0.069
O  0.299  0.428  0.402
O  0.299  0.764  0.011
O  0.303  0.275  0.949
O  0.305  0.943  0.616
O  0.352  0.856  0.832
O  0.354  0.190  0.165
O  0.357  0.529  0.497
O  0.358  0.158  0.562
O  0.359  0.839  0.511
O  0.360  0.504  0.896
O  0.367  0.864  0.115
O  0.368  0.838  0.235
O  0.369  0.203  0.447
O  0.374  0.170  0.844
O  0.374  0.501  0.178
O  0.374  0.530  0.778
O  0.496  0.028  0.279
O  0.497  0.338  0.010
O  0.497  0.668  0.340
O  0.499  0.004  0.676
O  0.500  0.697  0.945
O  0.501  0.366  0.612
O  0.503  0.001  0.397
O  0.512  0.662  0.064
O  0.515  0.338  0.730
O  0.518  0.028  0.999
O  0.518  0.691  0.666
O  0.520  0.361  0.330
O  0.559  0.768  0.442
O  0.567  0.439  0.117
O  0.567  0.601  0.568
O  0.568  0.108  0.783
O  0.571  0.930  0.902
O  0.576  0.266  0.512
O  0.577  0.268  0.231
O  0.579  0.600  0.843
O  0.579  0.755  0.165
O  0.579  0.931  0.177
O  0.585  0.425  0.829
O  0.586  0.097  0.495
O  0.606  0.255  0.113
O  0.606  0.925  0.782
O  0.607  0.116  0.892
O  0.608  0.449  0.226
O  0.611  0.246  0.835
O  0.613  0.577  0.169
O  0.614  0.926  0.499
O  0.616  0.776  0.843
O  0.617  0.110  0.178
O  0.620  0.445  0.512
O  0.623  0.588  0.449
O  0.625  0.783  0.560
O  0.747  0.779  0.342
O  0.750  0.442  0.012
O  0.750  0.784  0.062
O  0.753  0.109  0.678
O  0.758  0.586  0.947
O  0.758  0.925  0.999
O  0.759  0.578  0.671
O  0.759  0.926  0.283
O  0.763  0.248  0.337
O  0.763  0.255  0.615
O  0.772  0.446  0.726
O  0.773  0.118  0.395
O  0.786  0.600  0.342
O  0.791  0.108  0.284
O  0.791  0.424  0.330
O  0.793  0.095  0.996
O  0.793  0.931  0.678
O  0.795  0.756  0.663
O  0.796  0.263  0.736
O  0.796  0.269  0.011
O  0.800  0.928  0.402
O  0.805  0.443  0.616
O  0.805  0.601  0.067
O  0.806  0.765  0.945
O  0.854  0.356  0.833
O  0.856  0.689  0.165
O  0.857  0.029  0.498
O  0.858  0.658  0.562
O  0.859  0.339  0.511
O  0.866  0.364  0.115
O  0.869  0.003  0.899
O  0.869  0.031  0.780
O  0.869  0.335  0.234
O  0.869  0.703  0.447
O  0.873  0.667  0.838
O  0.874  0.004  0.178
O  0.997  0.168  0.340
O  0.997  0.528  0.278



energy of formation from the pure elements of number 2 (PrIn5Co)?
-0.264 eV per atom